[1]
Pr3Ge6Pt4 | r2SCAN | relaxed

Computed properties:
E in eV per formula unit: -390.41
M_tot in μB/atom: 0.000
DFT formation energy in meV per atom: -1001
Volume in Å³ per atom: 19.94

The structure in POSCAR format:
```
Pr3Ge6Pt4
1.0
4.4449 0.0000 0.0000
0.0000 8.8668 0.0000
0.0000 0.0000 26.3033
Ge Pt Pr
24 16 12
direct
0.7500 0.8773 0.9985 Ge
0.2500 0.5235 0.7153 Ge
0.7500 0.0235 0.7847 Ge
0.7500 0.3739 0.6406 Ge
0.7500 0.1261 0.1406 Ge
0.7500 0.6252 0.1378 Ge
0.2500 0.8739 0.8594 Ge
0.7500 0.7265 0.7850 Ge
0.2500 0.9765 0.2153 Ge
0.2500 0.1252 0.3622 Ge
0.2500 0.1227 0.0015 Ge
0.2500 0.6274 0.9980 Ge
0.2500 0.3748 0.8622 Ge
0.2500 0.2735 0.2150 Ge
0.7500 0.3726 0.0020 Ge
0.7500 0.4765 0.2847 Ge
0.2500 0.6261 0.3594 Ge
0.7500 0.8748 0.6378 Ge
0.2500 0.2265 0.7150 Ge
0.7500 0.1274 0.5020 Ge
0.2500 0.3773 0.5015 Ge
0.2500 0.8726 0.4980 Ge
0.7500 0.7735 0.2850 Ge
0.7500 0.6227 0.4985 Ge
0.2500 0.1282 0.4571 Pt
0.2500 0.8734 0.3126 Pt
0.7500 0.6223 0.6872 Pt
0.2500 0.6266 0.8126 Pt
0.7500 0.1220 0.0475 Pt
0.2500 0.3718 0.9571 Pt
0.7500 0.3734 0.1874 Pt
0.7500 0.1266 0.6874 Pt
0.7500 0.8718 0.5429 Pt
0.2500 0.6220 0.4525 Pt
0.2500 0.3777 0.3128 Pt
0.2500 0.1223 0.8128 Pt
0.7500 0.6282 0.0429 Pt
0.7500 0.3780 0.5475 Pt
0.2500 0.8780 0.9525 Pt
0.7500 0.8777 0.1872 Pt
0.2500 0.6253 0.2203 Pr
0.7500 0.1333 0.9075 Pr
0.2500 0.8747 0.7203 Pr
0.7500 0.3667 0.4075 Pr
0.7500 0.8845 0.4079 Pr
0.2500 0.6333 0.5925 Pr
0.7500 0.3747 0.7797 Pr
0.2500 0.3845 0.0921 Pr
0.7500 0.1253 0.2797 Pr
0.7500 0.6155 0.9079 Pr
0.2500 0.8667 0.0925 Pr
0.2500 0.1155 0.5921 Pr
```

=====

[2]
Ta4MnS8 | r2SCAN | relaxed

Computed properties:
E in eV per formula unit: -289.64
M_tot in μB/atom: 0.316
DFT formation energy in meV per atom: -1255
Volume in Å³ per atom: 18.68

The structure in POSCAR format:
```
Ta4MnS8
1.0
3.3409 -5.7866 0.0000
3.3409 5.7866 0.0000
0.0000 0.0000 12.5582
S Ta Mn
16 8 2
direct
0.6667 0.3333 0.6228 S
0.8315 0.6630 0.3728 S
0.8315 0.6629 0.1270 S
0.1685 0.3371 0.8730 S
0.1685 0.8315 0.6271 S
0.3333 0.6667 0.3772 S
0.6630 0.8315 0.6271 S
0.3371 0.1685 0.1270 S
0.6629 0.8315 0.8730 S
0.3370 0.1685 0.3728 S
0.6667 0.3333 0.8774 S
0.3333 0.6667 0.1226 S
0.8315 0.1685 0.3728 S
0.1685 0.8315 0.8730 S
0.8315 0.1685 0.1270 S
0.1685 0.3370 0.6271 S
0.5067 0.0133 0.7501 Ta
0.4933 0.9867 0.2499 Ta
0.9867 0.4933 0.7501 Ta
0.0000 0.0000 0.2499 Ta
0.4933 0.5067 0.2499 Ta
0.0133 0.5067 0.2499 Ta
0.5067 0.4933 0.7501 Ta
0.0000 0.0000 0.7501 Ta
0.0000 0.0000 0.5000 Mn
0.0000 0.0000 0.0000 Mn
```

=====

[3]
DyScSb | r2SCAN | relaxed

Computed properties:
E in eV per formula unit: -72.04
M_tot in μB/atom: 0.116
DFT formation energy in meV per atom: -985
Volume in Å³ per atom: 25.62

The structure in POSCAR format:
```
DyScSb
1.0
4.3337 0.0000 0.0000
0.0000 4.3337 0.0000
0.0000 0.0000 8.1857
Dy Sb Sc
2 2 2
direct
0.7500 0.7500 0.6511 Dy
0.2500 0.2500 0.3489 Dy
0.2500 0.2500 0.7336 Sb
0.7500 0.7500 0.2664 Sb
0.7500 0.2500 0.0000 Sc
0.2500 0.7500 0.0000 Sc
```

=====

[4]
Nd2MgAl | r2SCAN | relaxed

Computed properties:
E in eV per formula unit: -70.87
M_tot in μB/atom: 0.000
DFT formation energy in meV per atom: -284
Volume in Å³ per atom: 27.37

The structure in POSCAR format:
```
Nd2MgAl
1.0
4.0175 -2.4929 2.5446
3.3783 2.8108 3.0849
-0.1410 -0.5608 5.3382
Nd Mg Al
2 1 1
direct
0.0000 0.0000 0.0000 Nd
0.5000 0.5000 0.5000 Nd
0.7500 0.7500 0.7500 Mg
0.2500 0.2500 0.2500 Al
```

=====

[5]
Hg | r2SCAN | relaxed

Computed properties:
E in eV per formula unit: -49.14
M_tot in μB/atom: 0.000
DFT formation energy in meV per atom: 228
Energy above the lowest structure with this stoichiometry in meV/atom: 228.5
Volume in Å³ per atom: 85.83

The structure in POSCAR format:
```
Hg
1.0
-0.6680 -2.8398 -1.7139
-1.0302 -2.7745 1.6620
-8.7826 0.5866 -0.8679
Hg
1
direct
0.0001 0.9845 0.0003 Hg
```

=====

[6]
Ce2ThS3 | r2SCAN | relaxed

Computed properties:
E in eV per formula unit: -172.60
M_tot in μB/atom: 0.353
DFT formation energy in meV per atom: -2223
Volume in Å³ per atom: 23.98

The structure in POSCAR format:
```
Ce2ThS3
1.0
2.0239 -3.5055 0.0000
2.0239 3.5055 0.0000
0.0000 0.0000 10.1413
S Th Ce
3 1 2
direct
0.6667 0.3333 0.8348 S
0.0000 0.0000 0.5000 S
0.3333 0.6667 0.1652 S
0.0000 0.0000 0.0000 Th
0.6667 0.3333 0.3299 Ce
0.3333 0.6667 0.6701 Ce
```

=====

[7]
MoW2S6 | r2SCAN | relaxed

Computed properties:
E in eV per formula unit: -185.17
M_tot in μB/atom: 0.000
DFT formation energy in meV per atom: -906
Volume in Å³ per atom: 27.40

The structure in POSCAR format:
```
MoW2S6
1.0
3.1847 0.0000 0.0000
-1.5924 2.7580 0.0000
0.0000 0.0000 28.0778
S W Mo
6 2 1
direct
0.6667 0.3333 0.6336 S
0.6667 0.3333 0.0604 S
0.6667 0.3333 0.5225 S
0.6667 0.3333 0.1715 S
0.3333 0.6666 0.2917 S
0.3333 0.6666 0.4022 S
0.3333 0.6667 0.5780 W
0.3333 0.6667 0.1159 W
0.6666 0.3333 0.3470 Mo
```

=====

[8]
Cs3LaBr6 | r2SCAN | relaxed

Computed properties:
E in eV per formula unit: -206.41
M_tot in μB/atom: 0.000
DFT formation energy in meV per atom: -2179
Volume in Å³ per atom: 43.49

The structure in POSCAR format:
```
Cs3LaBr6
1.0
8.8382 0.0000 0.0000
0.0000 13.9013 0.0244
0.0000 4.5049 14.1661
Cs La Br
12 4 24
direct
0.5634 0.2631 0.6847 Cs
0.9514 0.6415 0.0962 Cs
0.9366 0.7631 0.6847 Cs
0.0698 0.1149 0.6804 Cs
0.0634 0.2369 0.3153 Cs
0.9302 0.8851 0.3196 Cs
0.4514 0.8585 0.9038 Cs
0.0486 0.3585 0.9038 Cs
0.5698 0.3851 0.3196 Cs
0.4302 0.6149 0.6804 Cs
0.4366 0.7369 0.3153 Cs
0.5486 0.1415 0.0962 Cs
0.5000 0.0000 0.5000 La
0.0000 0.5000 0.5000 La
0.0000 0.0000 0.0000 La
0.5000 0.5000 0.0000 La
0.0064 0.8728 0.8766 Br
0.2743 0.1058 0.9010 Br
0.9936 0.1272 0.1234 Br
0.8133 0.1532 0.8686 Br
0.7957 0.5076 0.6541 Br
0.3133 0.3468 0.1314 Br
0.2939 0.8911 0.6535 Br
0.7939 0.6089 0.3465 Br
0.2257 0.6058 0.9010 Br
0.2061 0.3911 0.6535 Br
0.6417 0.8068 0.5012 Br
0.2043 0.4924 0.3459 Br
0.2957 0.9924 0.3459 Br
0.5064 0.6272 0.1234 Br
0.7061 0.1089 0.3465 Br
0.7743 0.3942 0.0990 Br
0.7257 0.8942 0.0990 Br
0.1417 0.6932 0.4988 Br
0.4936 0.3728 0.8766 Br
0.7043 0.0076 0.6541 Br
0.1867 0.8468 0.1314 Br
0.6867 0.6532 0.8686 Br
0.3583 0.1932 0.4988 Br
0.8583 0.3068 0.5012 Br
```